First-principles (r²SCAN) data for an optimized crystal structure of H8PdC2NCl3, as listed in Materials Project.

The calculated formation energy is -6.17 eV per formula unit. The electronic total energy is -208.5 eV per cell.

Cell lengths 7.637, 7.637, 7.208 Å; angles 90.38, 90.38, 118.62 degrees
Fractional positions:
H  0.003  0.282  0.499
H  0.010  0.170  0.190
H  0.060  0.585  0.669
H  0.170  0.010  0.690
H  0.220  0.748  0.961
H  0.252  0.780  0.539
H  0.282  0.003  0.999
H  0.415  0.940  0.831
H  0.585  0.060  0.169
H  0.718  0.997  0.001
H  0.748  0.220  0.461
H  0.780  0.252  0.039
H  0.830  0.990  0.310
H  0.940  0.415  0.331
H  0.990  0.830  0.810
H  0.997  0.718  0.501
Pd  0.500  0.500  0.000
Pd  0.500  0.500  0.500
C  0.107  0.728  0.603
C  0.272  0.893  0.897
C  0.728  0.107  0.103
C  0.893  0.272  0.397
N  0.126  0.874  0.750
N  0.874  0.126  0.250
Cl  0.173  0.315  0.896
Cl  0.315  0.173  0.396
Cl  0.390  0.610  0.250
Cl  0.610  0.390  0.750
Cl  0.685  0.827  0.604
Cl  0.827  0.685  0.104